A plane-wave DFT calculation with PBE was carried out for a geometry-optimized Cs2HgB9Se9 structure.

Values from the calculation:
- Total moment: 0.00 μB per cell
- Mass density: 3.85 Mg/m³
- DFT formation energy: -0.650 eV/atom

abc: 10.113 10.950 11.271
angles: 100.09 90.48 116.07
Positions (direct):
Cs: 0.177 0.346 0.015
Cs: 0.205 0.827 0.498
Cs: 0.795 0.173 0.502
Cs: 0.823 0.654 0.985
Hg: 0.328 0.325 0.575
Hg: 0.672 0.675 0.425
B: 0.254 0.092 0.280
B: 0.257 0.590 0.788
B: 0.340 0.007 0.038
B: 0.340 0.880 0.914
B: 0.382 0.872 0.066
B: 0.422 0.060 0.904
B: 0.435 0.720 0.242
B: 0.486 0.044 0.149
B: 0.487 0.840 0.950
B: 0.513 0.160 0.050
B: 0.514 0.956 0.851
B: 0.565 0.280 0.758
B: 0.578 0.940 0.096
B: 0.618 0.128 0.934
B: 0.660 0.120 0.086
B: 0.660 0.993 0.962
B: 0.743 0.410 0.212
B: 0.746 0.908 0.720
Se: 0.136 0.135 0.400
Se: 0.140 0.407 0.688
Se: 0.165 0.025 0.110
Se: 0.167 0.720 0.808
Se: 0.263 0.721 0.157
Se: 0.362 0.151 0.786
Se: 0.396 0.593 0.353
Se: 0.448 0.100 0.320
Se: 0.449 0.644 0.877
Se: 0.551 0.356 0.123
Se: 0.552 0.900 0.680
Se: 0.604 0.407 0.647
Se: 0.638 0.849 0.214
Se: 0.737 0.279 0.843
Se: 0.833 0.280 0.192
Se: 0.835 0.975 0.890
Se: 0.860 0.593 0.312
Se: 0.864 0.865 0.600